Material: K3TaO2F7
Method: DFT, PBE
State: optimized geometry

DFT formation energy = -37.14 eV per formula unit
Energy above the lowest structure with this stoichiometry = 0.00 kJ/mol of atoms

abc: 7.2453 9.7668 14.0672
angles: 90.00 90.00 90.00
Space group Pnma (No. 62)
Symmetry-distinct sites (fractional):
K: 0.2176 0.0162 0.1520 (multiplicity 8)
K: 0.2346 0.2500 0.8266 (multiplicity 4)
Ta: 0.2110 0.7500 0.9280 (multiplicity 4)
O: 0.0129 0.1808 0.4445 (multiplicity 8)
F: 0.0011 0.0856 0.7287 (multiplicity 8)
F: 0.0557 0.2500 0.0872 (multiplicity 4)
F: 0.1663 0.5528 0.9323 (multiplicity 8)
F: 0.1957 0.7500 0.0654 (multiplicity 4)
F: 0.2458 0.2500 0.2933 (multiplicity 4)